Material: Ca3Fe2Re2O12
Method: DFT, GGA+U
State: relaxed

a b c (Å): 5.379 5.537 7.724
angles (deg): 89.98 89.99 89.55
Fractional coordinates of all 19 atoms:
Fe 0.000 0.490 0.004
Re 0.998 0.492 0.492
Ca 0.490 0.449 0.749
O 0.199 0.218 0.552
O 0.919 0.522 0.745
O 0.797 0.774 0.460
O 0.302 0.716 0.956
Ca 0.016 0.943 0.753
O 0.425 0.984 0.242
Ca 0.511 0.553 0.252
O 0.687 0.296 0.038
O 0.704 0.305 0.465
O 0.082 0.476 0.258
O 0.289 0.697 0.540
O 0.781 0.796 0.037
Fe 0.503 0.001 0.496
O 0.589 0.022 0.756
O 0.219 0.202 0.949
Re 0.504 0.003 0.009

Properties
The total magnetic moment is 0.4209 μB per atom. The calculation puts the formation energy at -2.431 eV/atom. For the raw total energy, the calculation gives -7.40 eV/atom.

=====

Material: NaNdMn4O12
Method: DFT, GGA+U
State: relaxed

a b c (Å): 5.320 5.320 7.784
angles (deg): 90.00 90.00 90.00
Fractional coordinates of all 18 atoms:
Mn 0.000 0.500 0.238
O 0.242 0.242 0.271
O 0.758 0.242 0.729
O 0.242 0.758 0.729
O 0.500 0.000 0.000
Na 0.500 0.500 0.000
O 0.758 0.758 0.729
Mn 0.000 0.500 0.762
O 0.242 0.242 0.729
Mn 0.500 0.000 0.762
O 0.000 0.500 0.500
Nd 0.000 0.000 0.500
Mn 0.500 0.000 0.238
O 0.000 0.500 0.000
O 0.500 0.000 0.500
O 0.758 0.242 0.271
O 0.242 0.758 0.271
O 0.758 0.758 0.271

Properties
The total magnetic moment is 0.4444 μB per atom. The calculation puts the formation energy at -1.662 eV/atom. For the raw total energy, the calculation gives -6.51 eV/atom.

=====

Material: Li7Cr3CoP6O24
Method: DFT, GGA+U
State: relaxed

a b c (Å): 8.642 8.642 8.642
angles (deg): 61.19 61.19 61.19
Fractional coordinates of all 41 atoms:
O 0.626 0.781 0.032
Li 0.209 0.663 0.844
O 0.588 0.398 0.761
Li 0.697 0.445 0.255
P 0.963 0.541 0.253
O 0.242 0.428 0.590
Cr 0.643 0.643 0.643
P 0.253 0.963 0.541
P 0.457 0.749 0.046
O 0.057 0.273 0.915
O 0.032 0.626 0.781
O 0.077 0.966 0.720
O 0.122 0.498 0.311
Li 0.445 0.255 0.697
Cr 0.358 0.358 0.358
O 0.428 0.590 0.242
O 0.498 0.689 0.884
O 0.590 0.242 0.428
O 0.720 0.077 0.966
Li 0.844 0.209 0.663
O 0.398 0.761 0.588
Cr 0.141 0.141 0.141
O 0.761 0.588 0.398
O 0.311 0.122 0.498
Li 0.663 0.844 0.209
Co 0.853 0.853 0.853
Li 0.994 0.994 0.994
P 0.749 0.046 0.457
O 0.273 0.915 0.057
O 0.498 0.311 0.122
O 0.689 0.884 0.498
O 0.884 0.498 0.689
O 0.915 0.057 0.273
O 0.218 0.973 0.374
O 0.374 0.218 0.973
P 0.541 0.253 0.963
O 0.973 0.374 0.218
Li 0.255 0.697 0.445
O 0.781 0.032 0.626
O 0.966 0.720 0.077
P 0.046 0.457 0.749

Properties
The total magnetic moment is 0.2926 μB per atom. The calculation puts the formation energy at -2.557 eV/atom. For the raw total energy, the calculation gives -6.86 eV/atom.

=====

Material: Mn2ZnO4
Method: DFT, GGA+U
State: relaxed

a b c (Å): 5.913 6.197 14.908
angles (deg): 93.92 89.80 118.43
Fractional coordinates of all 42 atoms:
O 0.504 0.990 0.243
O 0.804 0.137 0.096
O 0.015 0.482 0.753
O 0.010 0.019 0.757
Zn 0.839 0.676 0.335
Mn 0.327 0.156 0.834
Zn 0.830 0.660 0.709
O 0.690 0.840 0.425
O 0.321 0.644 0.578
O 0.685 0.368 0.423
Mn 0.330 0.661 0.831
Mn 0.830 0.663 0.954
Zn 0.163 0.322 0.047
Mn 0.167 0.833 0.167
Zn 0.501 0.003 0.623
Zn 0.495 0.992 0.000
O 0.314 0.178 0.582
Mn 0.005 0.511 0.500
O 0.152 0.841 0.425
O 0.505 0.010 0.758
Mn 0.169 0.342 0.288
O 0.346 0.151 0.094
Mn 0.666 0.833 0.167
Zn 0.506 0.006 0.381
Mn 0.828 0.155 0.834
O 0.155 0.311 0.910
O 0.645 0.833 0.906
O 0.988 0.974 0.240
Mn 0.165 0.331 0.666
Mn 0.667 0.334 0.166
O 0.187 0.831 0.907
Mn 0.004 0.007 0.501
O 0.828 0.656 0.575
O 0.986 0.519 0.238
O 0.343 0.689 0.092
Mn 0.506 0.511 0.500
O 0.179 0.356 0.427
O 0.832 0.681 0.091
O 0.865 0.178 0.583
O 0.649 0.297 0.909
O 0.533 0.534 0.236
O 0.466 0.484 0.752

Properties
The total magnetic moment is 1.1429 μB per atom. The calculation puts the formation energy at -1.934 eV/atom. For the raw total energy, the calculation gives -6.69 eV/atom.

=====

Material: Li3Cr2P3O12
Method: DFT, GGA+U
State: relaxed

a b c (Å): 8.998 8.378 8.386
angles (deg): 59.88 89.75 62.12
Fractional coordinates of all 40 atoms:
O 0.905 0.642 0.206
Li 0.138 0.942 0.731
Cr 0.041 0.307 0.346
Cr 0.955 0.697 0.648
Li 0.135 0.602 0.328
P 0.244 0.506 0.039
P 0.250 0.213 0.747
O 0.108 0.729 0.476
O 0.194 0.301 0.531
O 0.092 0.366 0.790
O 0.737 0.385 0.867
O 0.427 0.589 0.613
Li 0.627 0.188 0.254
O 0.900 0.254 0.536
Cr 0.564 0.294 0.853
O 0.418 0.197 0.802
O 0.575 0.407 0.380
O 0.909 0.310 0.154
P 0.251 0.788 0.463
O 0.193 0.340 0.168
O 0.421 0.383 0.013
O 0.267 0.988 0.875
O 0.719 0.022 0.128
Cr 0.432 0.713 0.144
P 0.747 0.209 0.539
P 0.752 0.498 0.962
O 0.259 0.619 0.133
O 0.267 0.869 0.255
Li 0.134 0.187 0.079
Li 0.857 0.408 0.672
O 0.731 0.134 0.746
O 0.582 0.798 0.200
O 0.580 0.609 0.000
O 0.093 0.698 0.841
O 0.803 0.701 0.468
O 0.801 0.666 0.827
O 0.190 0.976 0.493
P 0.747 0.792 0.250
O 0.799 0.024 0.509
Li 0.848 0.814 0.918

Properties
The total magnetic moment is 0.3000 μB per atom. The calculation puts the formation energy at -2.668 eV/atom. For the raw total energy, the calculation gives -7.09 eV/atom.

=====

Material: NaFeRuO4
Method: DFT, GGA+U
State: relaxed

a b c (Å): 2.986 9.453 10.975
angles (deg): 90.00 90.00 90.00
Fractional coordinates of all 28 atoms:
O 0.750 0.196 0.846
O 0.750 0.533 0.216
Na 0.250 0.739 0.849
O 0.250 0.804 0.154
O 0.750 0.423 0.561
O 0.750 0.117 0.521
Fe 0.250 0.581 0.098
O 0.250 0.304 0.346
Ru 0.250 0.559 0.621
O 0.750 0.696 0.654
Ru 0.750 0.941 0.121
Na 0.250 0.239 0.651
O 0.250 0.967 0.716
O 0.250 0.577 0.439
Fe 0.250 0.081 0.402
Fe 0.750 0.919 0.598
O 0.750 0.033 0.284
Ru 0.750 0.441 0.379
O 0.250 0.467 0.784
O 0.250 0.077 0.061
Na 0.750 0.261 0.151
Na 0.750 0.761 0.349
Fe 0.750 0.419 0.902
O 0.750 0.617 0.979
O 0.250 0.883 0.479
O 0.750 0.923 0.939
O 0.250 0.383 0.021
Ru 0.250 0.059 0.879

Properties
The total magnetic moment is 0.5446 μB per atom. The calculation puts the formation energy at -1.593 eV/atom. For the raw total energy, the calculation gives -6.43 eV/atom.

=====

Material: Mg2Ta2WO8
Method: DFT, GGA+U
State: relaxed

a b c (Å): 5.272 6.007 10.171
angles (deg): 105.85 91.49 91.22
Fractional coordinates of all 26 atoms:
O 0.868 0.854 0.389
O 0.622 0.682 0.114
W 0.270 0.641 0.003
Mg 0.242 0.428 0.548
O 0.611 0.459 0.621
W 0.759 0.348 0.006
O 0.579 0.185 0.147
Ta 0.250 0.037 0.759
O 0.926 0.037 0.858
O 0.115 0.165 0.619
O 0.106 0.924 0.134
O 0.909 0.560 0.878
O 0.112 0.426 0.122
Mg 0.744 0.137 0.537
Ta 0.220 0.254 0.249
O 0.425 0.811 0.855
O 0.362 0.554 0.392
O 0.935 0.306 0.393
Mg 0.724 0.589 0.446
O 0.433 0.095 0.374
Mg 0.235 0.868 0.443
Ta 0.778 0.992 0.235
O 0.411 0.304 0.879
O 0.044 0.720 0.639
O 0.545 0.925 0.635
Ta 0.750 0.719 0.763

Properties
The total magnetic moment is 0.2309 μB per atom. The calculation puts the formation energy at -2.833 eV/atom. For the raw total energy, the calculation gives -8.18 eV/atom.

=====

Material: Mg6MnCrO8
Method: DFT, GGA+U
State: relaxed

a b c (Å): 8.530 4.359 4.359
angles (deg): 90.00 90.00 90.00
Fractional coordinates of all 16 atoms:
O 0.744 0.000 0.000
Mg 0.748 0.000 0.500
O 0.751 0.500 0.500
Mg 0.500 0.500 0.500
Mg 0.252 0.000 0.500
Mg 0.748 0.500 0.000
O 0.249 0.500 0.500
Mg 0.000 0.500 0.500
Mn 0.000 0.000 0.000
Mg 0.252 0.500 0.000
O 0.000 0.000 0.500
O 0.500 0.500 0.000
O 0.256 0.000 0.000
Cr 0.500 0.000 0.000
O 0.000 0.500 0.000
O 0.500 0.000 0.500

Properties
The total magnetic moment is 0.5625 μB per atom. The calculation puts the formation energy at -2.724 eV/atom. For the raw total energy, the calculation gives -6.40 eV/atom.

=====

Material: KCeMnWO6
Method: DFT, GGA+U
State: relaxed

a b c (Å): 5.746 5.746 5.746
angles (deg): 60.00 60.00 60.00
Fractional coordinates of all 10 atoms:
W 0.500 0.500 0.500
K 0.750 0.750 0.750
O 0.261 0.739 0.261
O 0.739 0.261 0.261
O 0.261 0.261 0.739
Ce 0.250 0.250 0.250
O 0.739 0.739 0.261
Mn 0.000 0.000 0.000
O 0.261 0.739 0.739
O 0.739 0.261 0.739

Properties
The total magnetic moment is 0.6000 μB per atom. The calculation puts the formation energy at -2.494 eV/atom. For the raw total energy, the calculation gives -7.36 eV/atom.

=====

Material: Na3CoBPO7
Method: DFT, GGA+U
State: relaxed

a b c (Å): 5.201 11.145 11.140
angles (deg): 105.14 91.41 88.57
Fractional coordinates of all 52 atoms:
Na 0.746 0.621 0.884
Na 0.744 0.367 0.628
Co 0.227 0.953 0.295
O 0.219 0.623 0.944
O 0.577 0.641 0.108
P 0.718 0.835 0.415
O 0.965 0.947 0.803
B 0.730 0.910 0.840
Na 0.255 0.877 0.615
O 0.029 0.557 0.695
Na 0.746 0.866 0.129
B 0.272 0.091 0.159
O 0.531 0.965 0.785
Na 0.764 0.163 0.087
O 0.577 0.142 0.609
Na 0.255 0.378 0.113
O 0.782 0.376 0.057
O 0.220 0.124 0.445
P 0.283 0.164 0.586
O 0.221 0.806 0.127
O 0.425 0.357 0.893
O 0.297 0.666 0.583
O 0.125 0.591 0.159
Co 0.220 0.450 0.792
O 0.776 0.693 0.374
O 0.531 0.465 0.284
O 0.037 0.054 0.196
Na 0.255 0.136 0.873
B 0.730 0.410 0.340
P 0.282 0.664 0.085
Co 0.783 0.544 0.206
O 0.291 0.167 0.083
O 0.221 0.306 0.629
O 0.126 0.091 0.659
Na 0.746 0.121 0.383
O 0.703 0.336 0.415
O 0.869 0.908 0.342
O 0.873 0.408 0.841
Na 0.235 0.834 0.915
O 0.782 0.193 0.874
Na 0.255 0.635 0.372
P 0.720 0.334 0.916
Na 0.762 0.664 0.586
O 0.703 0.835 0.915
Na 0.235 0.335 0.414
O 0.965 0.447 0.303
O 0.776 0.876 0.557
B 0.267 0.592 0.659
O 0.470 0.539 0.715
O 0.419 0.858 0.393
O 0.479 0.039 0.211
Co 0.783 0.044 0.707

Properties
The total magnetic moment is 0.1154 μB per atom. The calculation puts the formation energy at -2.317 eV/atom. For the raw total energy, the calculation gives -6.27 eV/atom.

=====

Material: MgV4O10
Method: DFT, GGA+U
State: relaxed

a b c (Å): 5.875 6.712 7.642
angles (deg): 72.58 69.11 75.65
Fractional coordinates of all 15 atoms:
O 0.361 0.867 0.538
O 0.699 0.941 0.124
O 0.895 0.721 0.771
O 0.370 0.055 0.829
O 0.639 0.136 0.435
V 0.300 0.138 0.621
O 0.254 0.440 0.568
O 0.724 0.557 0.423
O 0.938 0.168 0.656
V 0.699 0.861 0.353
V 0.133 0.702 0.568
V 0.859 0.295 0.433
O 0.025 0.816 0.372
Mg 0.704 0.977 0.863
O 0.118 0.277 0.260

Properties
The total magnetic moment is 0.1333 μB per atom. The calculation puts the formation energy at -2.456 eV/atom. For the raw total energy, the calculation gives -7.37 eV/atom.

=====

Question: Look up the raw total energy of the third one.
Answer: -6.86 eV/atom

=====

Question: raw total energy of number 7 (Mg2Ta2WO8)?
Answer: -8.18 eV/atom